{
  "formula": "CoBH18Br2N6F4",
  "functional": "PBE+U",
  "state": "optimized geometry",
  "cell": [[-6.260, 3.394, -2.887], [-5.829, -10.986, -0.274], [-6.684, -2.036, 12.102]],
  "species": ["Co", "Co", "Co", "Co", "B", "B", "B", "B", "H", "H", "H", "H", "H", "H", "H", "H", "H", "H", "H", "H", "H", "H", "H", "H", "H", "H", "H", "H", "H", "H", "H", "H", "H", "H", "H", "H", "H", "H", "H", "H", "H", "H", "H", "H", "H", "H", "H", "H", "H", "H", "H", "H", "H", "H", "H", "H", "H", "H", "H", "H", "H", "H", "H", "H", "H", "H", "H", "H", "H", "H", "H", "H", "H", "H", "H", "H", "H", "H", "H", "H", "Br", "Br", "Br", "Br", "Br", "Br", "Br", "Br", "N", "N", "N", "N", "N", "N", "N", "N", "N", "N", "N", "N", "N", "N", "N", "N", "N", "N", "N", "N", "N", "N", "N", "N", "F", "F", "F", "F", "F", "F", "F", "F", "F", "F", "F", "F", "F", "F", "F", "F"],
  "frac_coords": [[0.000, 0.000, 0.000], [0.000, 0.500, 0.500], [0.500, 0.500, 0.000], [0.500, 0.000, 0.500], [0.957, 0.227, 0.305], [0.543, 0.727, 0.305], [0.457, 0.273, 0.695], [0.043, 0.773, 0.695], [0.624, 0.843, 0.656], [0.151, 0.105, 0.833], [0.779, 0.026, 0.397], [0.154, 0.816, 0.095], [0.470, 0.680, 0.048], [0.931, 0.714, 0.437], [0.574, 0.432, 0.850], [0.086, 0.338, 0.438], [0.530, 0.320, 0.952], [0.797, 0.420, 0.074], [0.656, 0.314, 0.095], [0.303, 0.588, 0.502], [0.800, 0.468, 0.654], [0.200, 0.532, 0.346], [0.849, 0.895, 0.167], [0.696, 0.088, 0.954], [0.700, 0.968, 0.654], [0.426, 0.568, 0.150], [0.245, 0.359, 0.507], [0.221, 0.974, 0.603], [0.299, 0.408, 0.152], [0.156, 0.186, 0.905], [0.811, 0.406, 0.400], [0.197, 0.088, 0.502], [0.569, 0.214, 0.437], [0.654, 0.684, 0.905], [0.371, 0.399, 0.887], [0.629, 0.601, 0.113], [0.651, 0.395, 0.167], [0.431, 0.786, 0.563], [0.004, 0.574, 0.303], [0.755, 0.641, 0.493], [0.304, 0.912, 0.046], [0.799, 0.092, 0.848], [0.504, 0.926, 0.697], [0.876, 0.343, 0.656], [0.196, 0.412, 0.046], [0.996, 0.426, 0.697], [0.703, 0.920, 0.074], [0.496, 0.074, 0.303], [0.926, 0.932, 0.850], [0.414, 0.838, 0.438], [0.030, 0.180, 0.048], [0.745, 0.141, 0.493], [0.721, 0.526, 0.397], [0.871, 0.101, 0.113], [0.701, 0.592, 0.848], [0.846, 0.184, 0.905], [0.279, 0.474, 0.603], [0.344, 0.686, 0.905], [0.803, 0.912, 0.498], [0.300, 0.032, 0.346], [0.349, 0.605, 0.833], [0.069, 0.286, 0.563], [0.189, 0.594, 0.600], [0.697, 0.412, 0.498], [0.844, 0.814, 0.095], [0.914, 0.662, 0.562], [0.346, 0.316, 0.095], [0.124, 0.657, 0.344], [0.255, 0.859, 0.507], [0.376, 0.157, 0.344], [0.311, 0.094, 0.600], [0.689, 0.906, 0.400], [0.203, 0.580, 0.926], [0.970, 0.820, 0.952], [0.129, 0.899, 0.887], [0.297, 0.080, 0.926], [0.586, 0.162, 0.562], [0.074, 0.068, 0.150], [0.804, 0.588, 0.954], [0.201, 0.908, 0.152], [0.509, 0.130, 0.089], [0.928, 0.118, 0.677], [0.009, 0.370, 0.911], [0.572, 0.618, 0.677], [0.072, 0.882, 0.323], [0.491, 0.870, 0.911], [0.428, 0.382, 0.323], [0.991, 0.630, 0.089], [0.505, 0.597, 0.087], [0.685, 0.599, 0.918], [0.286, 0.044, 0.556], [0.591, 0.927, 0.641], [0.388, 0.855, 0.503], [0.091, 0.573, 0.359], [0.830, 0.897, 0.093], [0.815, 0.099, 0.918], [0.888, 0.645, 0.497], [0.495, 0.403, 0.913], [0.005, 0.903, 0.913], [0.170, 0.103, 0.907], [0.185, 0.901, 0.082], [0.409, 0.073, 0.359], [0.330, 0.603, 0.907], [0.315, 0.401, 0.082], [0.786, 0.456, 0.444], [0.909, 0.427, 0.641], [0.714, 0.956, 0.444], [0.670, 0.397, 0.093], [0.214, 0.544, 0.556], [0.612, 0.145, 0.497], [0.112, 0.355, 0.503], [0.995, 0.097, 0.087], [0.798, 0.181, 0.283], [0.571, 0.839, 0.306], [0.011, 0.157, 0.405], [0.416, 0.726, 0.233], [0.511, 0.343, 0.595], [0.584, 0.274, 0.767], [0.916, 0.774, 0.767], [0.202, 0.819, 0.717], [0.084, 0.226, 0.233], [0.702, 0.681, 0.283], [0.429, 0.161, 0.694], [0.489, 0.657, 0.405], [0.071, 0.661, 0.694], [0.298, 0.319, 0.717], [0.989, 0.843, 0.595], [0.929, 0.339, 0.306]],
  "sg": "No. 14",
  "delta_e_f_ev_per_atom": -0.8989,
  "energy_ev_per_atom": -5.034
}